Computed, not measured: Li3FeSi6O15 after structural relaxation at the PBE with a Hubbard U level of DFT.

Cell and atoms, written as POSCAR:
```
Li3FeSi6O15
1.0
7.176 -8.532 0.000
7.176 8.532 0.000
0.000 0.000 10.153
Li Fe Si O
12 4 24 60
Direct
0.013 0.487 0.750
0.068 0.932 0.783
0.241 0.241 0.000
0.259 0.259 0.500
0.432 0.568 0.283
0.487 0.013 0.250
0.513 0.987 0.750
0.568 0.432 0.717
0.741 0.741 0.500
0.759 0.759 0.000
0.932 0.068 0.217
0.987 0.513 0.250
0.159 0.341 0.250
0.341 0.159 0.750
0.659 0.841 0.250
0.841 0.659 0.750
0.020 0.764 0.486
0.041 0.184 0.806
0.081 0.703 0.953
0.184 0.041 0.194
0.203 0.581 0.453
0.236 0.980 0.486
0.264 0.520 0.986
0.297 0.919 0.953
0.316 0.459 0.694
0.419 0.797 0.453
0.459 0.316 0.306
0.480 0.736 0.986
0.520 0.264 0.014
0.541 0.684 0.694
0.581 0.203 0.547
0.684 0.541 0.306
0.703 0.081 0.047
0.736 0.480 0.014
0.764 0.020 0.514
0.797 0.419 0.547
0.816 0.959 0.806
0.919 0.297 0.047
0.959 0.816 0.194
0.980 0.236 0.514
0.006 0.272 0.922
0.008 0.645 0.826
0.025 0.258 0.669
0.052 0.948 0.199
0.095 0.256 0.418
0.098 0.902 0.507
0.114 0.669 0.513
0.145 0.508 0.326
0.150 0.173 0.166
0.161 0.839 0.910
0.169 0.614 0.013
0.173 0.150 0.834
0.228 0.494 0.578
0.242 0.475 0.831
0.244 0.405 0.082
0.256 0.095 0.582
0.258 0.025 0.331
0.272 0.006 0.078
0.327 0.350 0.334
0.331 0.886 0.513
0.339 0.661 0.410
0.350 0.327 0.666
0.355 0.992 0.826
0.386 0.831 0.013
0.402 0.598 0.007
0.405 0.244 0.918
0.448 0.552 0.699
0.475 0.242 0.169
0.492 0.855 0.326
0.494 0.228 0.422
0.506 0.772 0.578
0.508 0.145 0.674
0.525 0.758 0.831
0.552 0.448 0.301
0.595 0.757 0.082
0.598 0.402 0.993
0.614 0.169 0.987
0.645 0.008 0.174
0.650 0.673 0.334
0.661 0.339 0.590
0.669 0.114 0.487
0.673 0.650 0.666
0.728 0.994 0.922
0.742 0.975 0.669
0.744 0.905 0.418
0.757 0.595 0.918
0.758 0.525 0.169
0.772 0.506 0.422
0.827 0.850 0.166
0.831 0.386 0.987
0.839 0.161 0.090
0.850 0.827 0.834
0.855 0.492 0.674
0.886 0.331 0.487
0.902 0.098 0.493
0.905 0.744 0.582
0.948 0.052 0.801
0.975 0.742 0.331
0.992 0.355 0.174
0.994 0.728 0.078
```

Calculated values
* polymorph energy (0 for the lowest one): 0.00 eV/f.u.
* E: -7.28 eV/atom
* ΔH_f (0 K): -2.940 eV/atom
* MP2020-corrected energy: -7.7786 eV/atom